[1]
Below is a geometry-optimized Ba3ZrIr2O9 structure, with properties calculated at the PBE level.

Unit cell a=5.877 b=5.877 c=14.582 alpha=90.00 beta=90.00 gamma=120.00
Positions (direct):
1 Ba 0.000 0.000 0.250
2 Ba 0.000 0.000 0.750
3 Ba 0.333 0.667 0.093
4 Ba 0.333 0.667 0.407
5 Ba 0.667 0.333 0.593
6 Ba 0.667 0.333 0.907
7 Zr 0.000 0.000 0.000
8 Zr 0.000 0.000 0.500
9 Ir 0.333 0.667 0.662
10 Ir 0.333 0.667 0.838
11 Ir 0.667 0.333 0.162
12 Ir 0.667 0.333 0.338
13 O 0.018 0.509 0.750
14 O 0.170 0.339 0.583
15 O 0.170 0.339 0.917
16 O 0.170 0.830 0.583
17 O 0.170 0.830 0.917
18 O 0.339 0.170 0.083
19 O 0.339 0.170 0.417
20 O 0.491 0.509 0.750
21 O 0.491 0.982 0.750
22 O 0.509 0.018 0.250
23 O 0.509 0.491 0.250
24 O 0.661 0.830 0.583
25 O 0.661 0.830 0.917
26 O 0.830 0.170 0.083
27 O 0.830 0.170 0.417
28 O 0.830 0.661 0.083
29 O 0.830 0.661 0.417
30 O 0.982 0.491 0.250

- DFT total energy (eV per atom) = -7.267
- magnetic moment (μB/atom) = 0.001
- symmetry = P6_3/mmc
- ΔH_f (0 K) (eV per atom) = -2.578
- corrected total energy (MP2020 scheme) (eV/atom) = -7.679
- V (Å³/f.u.) = 218

---

[2]
Below is a geometry-optimized K3Ba structure, with properties calculated at the PBE level.

Unit cell a=7.416 b=7.416 c=7.416 alpha=60.00 beta=60.00 gamma=60.00
Positions (direct):
1 K 0.000 0.000 0.000
2 K 0.250 0.250 0.250
3 K 0.750 0.750 0.750
4 Ba 0.500 0.500 0.500

- DFT total energy (eV per atom) = -1.183
- magnetic moment (μB/atom) = 0.003
- symmetry = Fm-3m
- ΔH_f (0 K) (eV per atom) = 0.129
- V (Å³/f.u.) = 288

---

[3]
Below is a geometry-optimized KBa3 structure, with properties calculated at the PBE level.

Unit cell a=9.080 b=9.080 c=7.452 alpha=90.00 beta=90.00 gamma=120.00
Positions (direct):
1 K 0.333 0.667 0.250
2 K 0.667 0.333 0.750
3 Ba 0.163 0.325 0.750
4 Ba 0.163 0.837 0.750
5 Ba 0.325 0.163 0.250
6 Ba 0.675 0.837 0.750
7 Ba 0.837 0.163 0.250
8 Ba 0.837 0.675 0.250

- DFT total energy (eV per atom) = -1.625
- magnetic moment (μB/atom) = 0.030
- symmetry = P6_3/mmc
- ΔH_f (0 K) (eV per atom) = 0.092
- V (Å³/f.u.) = 266

---

[4]
Below is a geometry-optimized K3Ba structure, with properties calculated at the PBE level.

Unit cell a=8.450 b=8.450 c=8.450 alpha=136.40 beta=136.40 gamma=63.37
Positions (direct):
1 K 0.000 0.000 0.000
2 K 0.250 0.750 0.500
3 K 0.750 0.250 0.500
4 Ba 0.500 0.500 0.000

- DFT total energy (eV per atom) = -1.184
- magnetic moment (μB/atom) = 0.150
- symmetry = I4/mmm
- ΔH_f (0 K) (eV per atom) = 0.128
- V (Å³/f.u.) = 283

---

[5]
Below is a geometry-optimized K3Ba structure, with properties calculated at the PBE level.

Unit cell a=6.563 b=6.563 c=6.563 alpha=90.00 beta=90.00 gamma=90.00
Positions (direct):
1 K 0.000 0.000 0.500
2 K 0.000 0.500 0.000
3 K 0.500 0.000 0.000
4 Ba 0.500 0.500 0.500

- DFT total energy (eV per atom) = -1.198
- magnetic moment (μB/atom) = 0.047
- symmetry = Pm-3m
- ΔH_f (0 K) (eV per atom) = 0.115
- V (Å³/f.u.) = 283

---

[6]
Below is a geometry-optimized KBa3 structure, with properties calculated at the PBE level.

Unit cell a=7.255 b=7.255 c=7.255 alpha=60.00 beta=60.00 gamma=60.00
Positions (direct):
1 K 0.000 0.000 0.000
2 Ba 0.250 0.250 0.250
3 Ba 0.500 0.500 0.500
4 Ba 0.750 0.750 0.750

- DFT total energy (eV per atom) = -1.605
- magnetic moment (μB/atom) = 0.140
- symmetry = Fm-3m
- ΔH_f (0 K) (eV per atom) = 0.112
- V (Å³/f.u.) = 270

---

[7]
Below is a geometry-optimized KBaMg6 structure, with properties calculated at the PBE level.

Unit cell a=5.496 b=7.226 c=12.604 alpha=90.00 beta=90.00 gamma=90.00
Positions (direct):
1 Mg 0.500 0.000 0.164
2 Mg 0.500 0.500 0.664
3 Mg 0.000 0.000 0.332
4 Mg 0.000 0.769 0.080
5 Mg 0.500 0.234 0.420
6 Mg 0.500 0.266 0.920
7 Mg 0.500 0.734 0.920
8 Mg 0.000 0.731 0.580
9 Mg 0.000 0.269 0.580
10 Mg 0.000 0.500 0.832
11 Mg 0.500 0.766 0.420
12 Mg 0.000 0.231 0.080
13 Ba 0.500 0.500 0.163
14 Ba 0.500 0.000 0.663
15 K 0.000 0.000 0.842
16 K 0.000 0.500 0.342

- DFT total energy (eV per atom) = -1.387
- magnetic moment (μB/atom) = 0.000
- ΔH_f (0 K) (eV per atom) = 0.192
- V (Å³/f.u.) = 250

---

[8]
Below is a geometry-optimized KBaMg14 structure, with properties calculated at the PBE level.

Unit cell a=10.916 b=6.782 c=6.782 alpha=58.34 beta=90.00 gamma=90.00
Positions (direct):
1 K 0.000 0.000 0.000
2 Ba 0.000 0.501 0.501
3 Mg 0.000 0.505 0.999
4 Mg 0.000 0.999 0.505
5 Mg 0.258 0.173 0.173
6 Mg 0.261 0.674 0.674
7 Mg 0.275 0.161 0.664
8 Mg 0.275 0.664 0.161
9 Mg 0.500 0.001 0.500
10 Mg 0.500 0.004 0.004
11 Mg 0.500 0.500 0.001
12 Mg 0.500 0.504 0.504
13 Mg 0.725 0.161 0.664
14 Mg 0.725 0.664 0.161
15 Mg 0.739 0.674 0.674
16 Mg 0.742 0.173 0.173

- DFT total energy (eV per atom) = -1.454
- magnetic moment (μB/atom) = 0.014
- symmetry = Amm2
- ΔH_f (0 K) (eV per atom) = 0.136
- V (Å³/f.u.) = 427